(1)
Material: NiPH16NO10
Method: DFT, r²SCAN
State: optimized geometry

CIF file:
```
data_NiPH16NO10
_cell_length_a 6.879
_cell_length_b 6.021
_cell_length_c 11.095
_cell_angle_alpha 90.00
_cell_angle_beta 90.00
_cell_angle_gamma 90.00
_symmetry_space_group_name_H-M 'P m n 21'
_symmetry_Int_Tables_number 31
_symmetry_space_group_name_Hall 'P 2ac -2'
loop_
_atom_site_label
_atom_site_type_symbol
_atom_site_fract_x
_atom_site_fract_y
_atom_site_fract_z
Ni1 Ni 0.000 0.132 0.000
P1 P 0.000 0.502 0.372
H1 H 0.000 0.143 0.732
H2 H 0.000 0.274 0.594
H3 H 0.000 0.682 0.034
H4 H 0.000 0.785 0.168
H5 H 0.118 0.507 0.882
H6 H 0.121 0.029 0.620
H7 H 0.180 0.668 0.571
H8 H 0.182 0.878 0.357
H9 H 0.199 0.293 0.193
H10 H 0.243 0.874 0.870
N1 N 0.000 0.123 0.640
O1 O 0.000 0.453 0.926
O2 O 0.000 0.521 0.510
O3 O 0.000 0.736 0.315
O4 O 0.000 0.821 0.080
O5 O 0.184 0.378 0.330
O6 O 0.202 0.031 0.878
O7 O 0.224 0.231 0.110
```

Values from the calculation:
E, eV/atom: -6.178
Formation energy, eV per atom: -1.1737
Total magnetic moment, μB/f.u.: 2.000



(2)
Material: Nb2PC
Method: DFT, r²SCAN
State: optimized geometry

CIF file:
```
data_Nb2PC
_cell_length_a 3.3203
_cell_length_b 3.3203
_cell_length_c 11.5854
_cell_angle_alpha 90.00
_cell_angle_beta 90.00
_cell_angle_gamma 120.00
_symmetry_space_group_name_H-M 'P 63/m m c'
_symmetry_Int_Tables_number 194
_symmetry_space_group_name_Hall '-P 6c 2c'
loop_
_atom_site_label
_atom_site_type_symbol
_atom_site_fract_x
_atom_site_fract_y
_atom_site_fract_z
Nb1 Nb 0.3333 0.6667 0.1000
P1 P 0.3333 0.6667 0.7500
C1 C 0.0000 0.0000 0.0000
```

Values from the calculation:
E, eV/atom: -17.923
Formation energy, eV per atom: -0.8187
Total magnetic moment, μB/f.u.: 0.000



(3)
Material: CaO
Method: DFT, r²SCAN
State: optimized geometry

CIF file:
```
data_CaO
_cell_length_a 4.807
_cell_length_b 4.807
_cell_length_c 4.807
_cell_angle_alpha 90.00
_cell_angle_beta 90.00
_cell_angle_gamma 90.00
_symmetry_space_group_name_H-M 'F m -3 m'
_symmetry_Int_Tables_number 225
_symmetry_space_group_name_Hall '-F 4 2 3'
loop_
_atom_site_label
_atom_site_type_symbol
_atom_site_fract_x
_atom_site_fract_y
_atom_site_fract_z
Ca1 Ca 0.000 0.000 0.000
O1 O 0.000 0.000 0.500
```

Values from the calculation:
E, eV/atom: -9.730
Formation energy, eV per atom: -3.2242
Total magnetic moment, μB/f.u.: 0.000



(4)
Material: Hf2Fe3Si
Method: DFT, r²SCAN
State: optimized geometry

CIF file:
```
data_Hf2Fe3Si
_cell_length_a 4.9281
_cell_length_b 4.9281
_cell_length_c 8.0367
_cell_angle_alpha 90.00
_cell_angle_beta 90.00
_cell_angle_gamma 120.00
_symmetry_space_group_name_H-M 'P 63/m m c'
_symmetry_Int_Tables_number 194
_symmetry_space_group_name_Hall '-P 6c 2c'
loop_
_atom_site_label
_atom_site_type_symbol
_atom_site_fract_x
_atom_site_fract_y
_atom_site_fract_z
Hf1 Hf 0.3333 0.6667 0.0638
Fe1 Fe 0.1698 0.3396 0.7500
Si1 Si 0.0000 0.0000 0.0000
```

Values from the calculation:
E, eV/atom: -24.207
Formation energy, eV per atom: -0.4876
Total magnetic moment, μB/f.u.: 4.379



(5)
Material: EuGe2Ir
Method: DFT, r²SCAN
State: optimized geometry

CIF file:
```
data_EuGe2Ir
_cell_length_a 4.458
_cell_length_b 17.335
_cell_length_c 4.267
_cell_angle_alpha 90.00
_cell_angle_beta 90.00
_cell_angle_gamma 90.00
_symmetry_space_group_name_H-M 'C m c m'
_symmetry_Int_Tables_number 63
_symmetry_space_group_name_Hall '-C 2c 2'
loop_
_atom_site_label
_atom_site_type_symbol
_atom_site_fract_x
_atom_site_fract_y
_atom_site_fract_z
Eu1 Eu 0.000 0.106 0.250
Ge1 Ge 0.000 0.247 0.750
Ge2 Ge 0.000 0.459 0.250
Ir1 Ir 0.000 0.320 0.250
```

Values from the calculation:
E, eV/atom: -30.394
Formation energy, eV per atom: -0.7379
Total magnetic moment, μB/f.u.: 6.978



(6)
Material: Eu5Nb4O15
Method: DFT, r²SCAN
State: optimized geometry

CIF file:
```
data_Eu5Nb4O15
_cell_length_a 9.828
_cell_length_b 5.676
_cell_length_c 11.476
_cell_angle_alpha 90.00
_cell_angle_beta 90.01
_cell_angle_gamma 90.00
_symmetry_space_group_name_H-M 'C 1 m 1'
_symmetry_Int_Tables_number 8
_symmetry_space_group_name_Hall 'C -2y'
loop_
_atom_site_label
_atom_site_type_symbol
_atom_site_fract_x
_atom_site_fract_y
_atom_site_fract_z
Eu1 Eu 0.000 0.000 0.000
Eu2 Eu 0.000 0.000 0.336
Eu3 Eu 0.166 0.500 0.550
Eu4 Eu 0.167 0.500 0.214
Eu5 Eu 0.333 0.000 0.775
Nb1 Nb 0.000 0.000 0.670
Nb2 Nb 0.167 0.500 0.880
Nb3 Nb 0.333 0.000 0.096
Nb4 Nb 0.333 0.000 0.454
O1 O 0.005 0.500 0.379
O2 O 0.083 0.250 0.775
O3 O 0.161 0.000 0.170
O4 O 0.170 0.000 0.578
O5 O 0.247 0.258 0.379
O6 O 0.252 0.246 0.972
O7 O 0.333 0.500 0.775
O8 O 0.415 0.246 0.578
O9 O 0.419 0.258 0.170
O10 O 0.497 0.000 0.972
```

Values from the calculation:
E, eV/atom: -18.976
Formation energy, eV per atom: -3.0960
Total magnetic moment, μB/f.u.: 35.013



(7)
Material: Ho3Er
Method: DFT, r²SCAN
State: optimized geometry

CIF file:
```
data_Ho3Er
_cell_length_a 7.2117
_cell_length_b 7.2117
_cell_length_c 5.5395
_cell_angle_alpha 90.00
_cell_angle_beta 90.00
_cell_angle_gamma 120.00
_symmetry_space_group_name_H-M 'P 63/m m c'
_symmetry_Int_Tables_number 194
_symmetry_space_group_name_Hall '-P 6c 2c'
loop_
_atom_site_label
_atom_site_type_symbol
_atom_site_fract_x
_atom_site_fract_y
_atom_site_fract_z
Ho1 Ho 0.1669 0.3338 0.2500
Er1 Er 0.3333 0.6667 0.7500
```

Values from the calculation:
E, eV/atom: -33.136
Excess energy over the best structure of this formula in the dataset, meV per atom: 0
Formation energy, eV per atom: 0.0061
Total magnetic moment, μB/f.u.: 0.000



(8)
Material: K2ZnCl4
Method: DFT, r²SCAN
State: optimized geometry

CIF file:
```
data_K2ZnCl4
_cell_length_a 8.888
_cell_length_b 7.119
_cell_length_c 12.665
_cell_angle_alpha 90.00
_cell_angle_beta 90.00
_cell_angle_gamma 90.00
_symmetry_space_group_name_H-M 'P n m a'
_symmetry_Int_Tables_number 62
_symmetry_space_group_name_Hall '-P 2ac 2n'
loop_
_atom_site_label
_atom_site_type_symbol
_atom_site_fract_x
_atom_site_fract_y
_atom_site_fract_z
K1 K 0.019 0.250 0.181
K2 K 0.115 0.750 0.436
Zn1 Zn 0.216 0.750 0.073
Cl1 Cl 0.035 0.250 0.923
Cl2 Cl 0.179 0.504 0.651
Cl3 Cl 0.188 0.250 0.406
```

Values from the calculation:
E, eV/atom: -8.343
Formation energy, eV per atom: -1.8347
Total magnetic moment, μB/f.u.: 0.000



(9)
Material: HfCr2
Method: DFT, r²SCAN
State: optimized geometry

CIF file:
```
data_HfCr2
_cell_length_a 5.0022
_cell_length_b 5.0022
_cell_length_c 16.1920
_cell_angle_alpha 90.00
_cell_angle_beta 90.00
_cell_angle_gamma 120.00
_symmetry_space_group_name_H-M 'P 63/m m c'
_symmetry_Int_Tables_number 194
_symmetry_space_group_name_Hall '-P 6c 2c'
loop_
_atom_site_label
_atom_site_type_symbol
_atom_site_fract_x
_atom_site_fract_y
_atom_site_fract_z
Hf1 Hf 0.0000 0.0000 0.0946
Hf2 Hf 0.3333 0.6667 0.1562
Cr1 Cr 0.0000 0.5000 0.0000
Cr2 Cr 0.1650 0.3300 0.7500
Cr3 Cr 0.3333 0.6667 0.6232
```

Values from the calculation:
E, eV/atom: -25.006
Formation energy, eV per atom: 0.0930
Total magnetic moment, μB/f.u.: 0.000



(10)
Material: Nb3In2Cl9
Method: DFT, r²SCAN
State: optimized geometry

CIF file:
```
data_Nb3In2Cl9
_cell_length_a 11.242
_cell_length_b 15.218
_cell_length_c 9.655
_cell_angle_alpha 90.00
_cell_angle_beta 116.90
_cell_angle_gamma 90.00
_symmetry_space_group_name_H-M 'C 1 2/m 1'
_symmetry_Int_Tables_number 12
_symmetry_space_group_name_Hall '-C 2y'
loop_
_atom_site_label
_atom_site_type_symbol
_atom_site_fract_x
_atom_site_fract_y
_atom_site_fract_z
Nb1 Nb 0.104 0.000 0.368
Nb2 Nb 0.126 0.096 0.643
In1 In 0.107 0.350 0.841
Cl1 Cl 0.000 0.227 0.500
Cl2 Cl 0.028 0.114 0.824
Cl3 Cl 0.197 0.500 0.163
Cl4 Cl 0.213 0.281 0.173
Cl5 Cl 0.230 0.386 0.487
Cl6 Cl 0.236 0.000 0.204
```

Values from the calculation:
E, eV/atom: -13.775
Formation energy, eV per atom: -1.2945
Total magnetic moment, μB/f.u.: 0.000



(11)
Material: LiO
Method: DFT, r²SCAN
State: optimized geometry

CIF file:
```
data_LiO
_cell_length_a 3.1026
_cell_length_b 3.1026
_cell_length_c 7.5699
_cell_angle_alpha 90.00
_cell_angle_beta 90.00
_cell_angle_gamma 120.00
_symmetry_space_group_name_H-M 'P 63/m m c'
_symmetry_Int_Tables_number 194
_symmetry_space_group_name_Hall '-P 6c 2c'
loop_
_atom_site_label
_atom_site_type_symbol
_atom_site_fract_x
_atom_site_fract_y
_atom_site_fract_z
Li1 Li 0.0000 0.0000 0.0000
Li2 Li 0.3333 0.6667 0.2500
O1 O 0.3333 0.6667 0.6486
```

Values from the calculation:
E, eV/atom: -5.761
Formation energy, eV per atom: -1.5816
Total magnetic moment, μB/f.u.: 0.000



(12)
Material: Sm3Ni
Method: DFT, r²SCAN
State: optimized geometry

CIF file:
```
data_Sm3Ni
_cell_length_a 6.905
_cell_length_b 9.835
_cell_length_c 6.457
_cell_angle_alpha 90.00
_cell_angle_beta 90.00
_cell_angle_gamma 90.00
_symmetry_space_group_name_H-M 'P n m a'
_symmetry_Int_Tables_number 62
_symmetry_space_group_name_Hall '-P 2ac 2n'
loop_
_atom_site_label
_atom_site_type_symbol
_atom_site_fract_x
_atom_site_fract_y
_atom_site_fract_z
Sm1 Sm 0.035 0.250 0.142
Sm2 Sm 0.174 0.067 0.678
Ni1 Ni 0.110 0.750 0.441
```

Values from the calculation:
E, eV/atom: -25.482
Formation energy, eV per atom: -0.1865
Total magnetic moment, μB/f.u.: 0.000



(13)
Material: ErGaIr
Method: DFT, r²SCAN
State: optimized geometry

CIF file:
```
data_ErGaIr
_cell_length_a 6.734
_cell_length_b 4.261
_cell_length_c 7.725
_cell_angle_alpha 90.00
_cell_angle_beta 90.00
_cell_angle_gamma 90.00
_symmetry_space_group_name_H-M 'P n m a'
_symmetry_Int_Tables_number 62
_symmetry_space_group_name_Hall '-P 2ac 2n'
loop_
_atom_site_label
_atom_site_type_symbol
_atom_site_fract_x
_atom_site_fract_y
_atom_site_fract_z
Er1 Er 0.025 0.250 0.186
Ga1 Ga 0.153 0.250 0.567
Ir1 Ir 0.233 0.750 0.386
```

Values from the calculation:
E, eV/atom: -33.578
Formation energy, eV per atom: -1.0023
Total magnetic moment, μB/f.u.: 0.000



(14)
Material: CsTmCoS3
Method: DFT, r²SCAN
State: optimized geometry

CIF file:
```
data_CsTmCoS3
_cell_length_a 3.947
_cell_length_b 15.468
_cell_length_c 10.374
_cell_angle_alpha 90.00
_cell_angle_beta 90.00
_cell_angle_gamma 90.00
_symmetry_space_group_name_H-M 'C m c m'
_symmetry_Int_Tables_number 63
_symmetry_space_group_name_Hall '-C 2c 2'
loop_
_atom_site_label
_atom_site_type_symbol
_atom_site_fract_x
_atom_site_fract_y
_atom_site_fract_z
Cs1 Cs 0.000 0.238 0.250
Tm1 Tm 0.000 0.500 0.000
Co1 Co 0.000 0.036 0.750
S1 S 0.000 0.112 0.562
S2 S 0.000 0.452 0.750
```

Values from the calculation:
E, eV/atom: -17.856
Formation energy, eV per atom: -1.5949
Total magnetic moment, μB/f.u.: 2.999



(15)
Material: LiSiB6
Method: DFT, r²SCAN
State: optimized geometry

CIF file:
```
data_LiSiB6
_cell_length_a 6.101
_cell_length_b 10.975
_cell_length_c 8.414
_cell_angle_alpha 90.00
_cell_angle_beta 90.00
_cell_angle_gamma 90.00
_symmetry_space_group_name_H-M 'C m c e'
_symmetry_Int_Tables_number 64
_symmetry_space_group_name_Hall '-C 2ac 2'
loop_
_atom_site_label
_atom_site_type_symbol
_atom_site_fract_x
_atom_site_fract_y
_atom_site_fract_z
Li1 Li 0.000 0.174 0.160
Si1 Si 0.000 0.166 0.880
B1 B 0.000 0.101 0.651
B2 B 0.000 0.152 0.444
B3 B 0.159 0.039 0.334
B4 B 0.235 0.079 0.532
```

Values from the calculation:
E, eV/atom: -7.137
Formation energy, eV per atom: -0.2320
Total magnetic moment, μB/f.u.: 0.000



(16)
Material: SrZnIn3
Method: DFT, r²SCAN
State: optimized geometry

CIF file:
```
data_SrZnIn3
_cell_length_a 4.629
_cell_length_b 4.629
_cell_length_c 12.121
_cell_angle_alpha 90.00
_cell_angle_beta 90.00
_cell_angle_gamma 90.00
_symmetry_space_group_name_H-M 'I 4 m m'
_symmetry_Int_Tables_number 107
_symmetry_space_group_name_Hall 'I 4 -2'
loop_
_atom_site_label
_atom_site_type_symbol
_atom_site_fract_x
_atom_site_fract_y
_atom_site_fract_z
Sr1 Sr 0.000 0.000 0.000
Zn1 Zn 0.000 0.000 0.609
In1 In 0.000 0.000 0.393
In2 In 0.000 0.500 0.237
```

Values from the calculation:
E, eV/atom: -18.771
Formation energy, eV per atom: -0.4125
Total magnetic moment, μB/f.u.: 0.000



(17)
Material: ErAgS2
Method: DFT, r²SCAN
State: optimized geometry

CIF file:
```
data_ErAgS2
_cell_length_a 5.386
_cell_length_b 5.386
_cell_length_c 11.838
_cell_angle_alpha 90.00
_cell_angle_beta 90.00
_cell_angle_gamma 90.00
_symmetry_space_group_name_H-M 'I 41/a m d'
_symmetry_Int_Tables_number 141
loop_
_symmetry_equiv_pos_as_xyz
'x,y,z'
'-x,-y,-z'
'-y+1/4,x+3/4,z+1/4'
'y+1/4,-x+3/4,-z+1/4'
'-x+1/2,-y,z+1/2'
'x+1/2,y,-z+1/2'
'y+1/4,-x+1/4,z+3/4'
'-y+1/4,x+1/4,-z+3/4'
'x,-y,-z'
'-x,y,z'
'-y+1/4,-x+1/4,-z+3/4'
'y+1/4,x+1/4,z+3/4'
'-x+1/2,y,-z+1/2'
'x+1/2,-y,z+1/2'
'y+1/4,x+3/4,-z+1/4'
'-y+1/4,-x+3/4,z+1/4'
'x+1/2,y+1/2,z+1/2'
'-x+1/2,-y+1/2,-z+1/2'
'-y+3/4,x+1/4,z+3/4'
'y+3/4,-x+1/4,-z+3/4'
'-x,-y+1/2,z'
'x,y+1/2,-z'
'y+3/4,-x+3/4,z+1/4'
'-y+3/4,x+3/4,-z+1/4'
'x+1/2,-y+1/2,-z+1/2'
'-x+1/2,y+1/2,z+1/2'
'-y+3/4,-x+3/4,-z+1/4'
'y+3/4,x+3/4,z+1/4'
'-x,y+1/2,-z'
'x,-y+1/2,z'
'y+3/4,x+1/4,-z+3/4'
'-y+3/4,-x+1/4,z+3/4'
loop_
_atom_site_label
_atom_site_type_symbol
_atom_site_fract_x
_atom_site_fract_y
_atom_site_fract_z
Er1 Er 0.000 0.250 0.375
Ag1 Ag 0.000 0.250 0.875
S1 S 0.000 0.250 0.147
```

Values from the calculation:
E, eV/atom: -19.360
Formation energy, eV per atom: -1.5229
Total magnetic moment, μB/f.u.: 0.000